The following is a DFT calculation (PBE) of a geometry-optimized La3U2O10 structure.

Relative energy among the computed polymorphs (eV per formula unit): 0.000
Space group: P-1 (2)

a b c (Å): 6.8510 7.8042 8.7303
angles (deg): 101.68 97.78 107.13
With the nearest neighbours (Å) after each atom.
Element x y z (fractional)
O1 0.2769 0.1544 0.7485  2 U 2.24-2.37, 1 La 2.50
O2 0.4413 0.0026 0.1642  1 U 2.13
O3 0.0476 0.2284 0.3467  4 La 2.35-2.41
U1 0.5974 0.1971 0.6978  6 O 2.12-2.31
La1 0.1990 0.8968 0.8963  8 O 2.35-2.57
O4 0.7459 0.4002 0.2330  1 U 2.10
U2 0.4026 0.8029 0.3022  6 O 2.12-2.31
O5 0.4407 0.5345 0.1323  3 U 2.25-2.44
O6 0.8536 0.3444 0.9476  3 U 2.29-2.43, 1 La 2.51, 3 O 2.52-2.55
O7 0.0581 0.7296 0.3239  2 U 2.29-2.30, 1 La 2.51, 1 O 2.52
O8 0.9419 0.2704 0.6761  2 U 2.29-2.30, 1 La 2.51, 1 O 2.52
U3 0.1996 0.4031 0.9029  5 O 2.10-2.29
La2 0.0000 0.5000 0.5000  8 O 2.40-2.57
O9 0.7231 0.8456 0.2515  2 U 2.24-2.37, 1 La 2.50
O10 0.9524 0.7716 0.6533  4 La 2.35-2.41
O11 0.2541 0.5998 0.7670  1 U 2.10
O12 0.6383 0.3988 0.5647  1 U 2.12
O13 0.5587 0.9974 0.8358  1 U 2.13
La3 0.8010 0.1032 0.1037  8 O 2.35-2.57
O14 0.5593 0.4655 0.8677  3 U 2.25-2.44
O15 0.8497 0.8058 0.9718  1 U 2.11
O16 0.6387 0.9388 0.5430  2 U 2.30-2.31, 1 O 2.46, 2 La 2.47-2.50
O17 0.3613 0.0612 0.4570  2 U 2.30-2.31, 1 O 2.46, 2 La 2.47-2.50
La4 0.6083 0.7011 0.7006  8 O 2.37-2.54
La5 0.3917 0.2989 0.2994  8 O 2.37-2.54
O18 0.1464 0.6556 0.0524  3 U 2.29-2.43, 1 La 2.51, 3 O 2.52-2.55
O19 0.1503 0.1942 0.0282  1 U 2.11
U4 0.8004 0.5969 0.0971  5 O 2.10-2.29
O20 0.3617 0.6012 0.4353  1 U 2.12
La6 0.0000 0.0000 0.5000  8 O 2.41-2.51

---

The following is a DFT calculation (PBE) of a geometry-optimized LuTe structure.

Space group: Fm-3m (225)

a b c (Å): 4.2747 4.2747 4.2747
angles (deg): 60.00 60.00 60.00
With the nearest neighbours (Å) after each atom.
Element x y z (fractional)
Te1 0.5000 0.5000 0.5000  6 Lu 3.02
Lu1 0.0000 0.0000 0.0000  6 Te 3.02

---

Formation enthalpy at 0 K? In order: -3.912 -1.299 eV per atom.